(1)
# NaLa2Nb2P5SO24, relaxed, DFT PBE
data_NaLa2Nb2P5SO24
_chemical_formula_sum 'Na3 La6 Nb6 P15 S3 O72'
_symmetry_space_group_name_H-M 'P 1'
_symmetry_Int_Tables_number 1
_cell_length_a 9.141
_cell_length_b 9.148
_cell_length_c 23.835
_cell_angle_alpha 89.69
_cell_angle_beta 89.99
_cell_angle_gamma 60.15
loop_
_symmetry_equiv_pos_as_xyz
'x,y,z'
loop_
_atom_site_label
_atom_site_fract_x
_atom_site_fract_y
_atom_site_fract_z
Na1 0.000 0.000 0.000
Na2 0.003 0.995 0.498
Na3 0.335 0.332 0.830
La1 0.000 0.998 0.861
La2 0.004 0.992 0.350
La3 0.328 0.336 0.180
La4 0.336 0.330 0.687
La5 0.663 0.664 0.526
La6 0.997 0.989 0.144
Nb1 0.333 0.332 0.975
Nb2 0.344 0.318 0.474
Nb3 0.665 0.667 0.808
Nb4 0.668 0.665 0.016
Nb5 0.674 0.663 0.320
Nb6 0.997 0.009 0.648
P1 0.037 0.334 0.071
P2 0.295 0.725 0.750
P3 0.300 0.061 0.579
P4 0.339 0.623 0.071
P5 0.385 0.643 0.417
P6 0.402 0.953 0.915
P7 0.623 0.035 0.072
P8 0.639 0.295 0.579
P9 0.645 0.400 0.916
P10 0.653 0.963 0.417
P11 0.725 0.977 0.750
P12 0.955 0.642 0.915
P13 0.971 0.380 0.418
P14 0.977 0.300 0.750
P15 0.983 0.696 0.250
S1 0.059 0.643 0.579
S2 0.326 0.975 0.250
S3 0.699 0.322 0.250
O1 0.008 0.190 0.801
O2 0.013 0.200 0.407
O3 0.017 0.779 0.300
O4 0.024 0.175 0.070
O5 0.054 0.810 0.585
O6 0.100 0.367 0.126
O7 0.116 0.342 0.742
O8 0.122 0.516 0.240
O9 0.126 0.548 0.632
O10 0.129 0.056 0.590
O11 0.134 0.479 0.920
O12 0.143 0.380 0.427
O13 0.160 0.323 0.022
O14 0.166 0.554 0.530
O15 0.178 0.795 0.070
O16 0.191 0.800 0.801
O17 0.199 0.840 0.696
O18 0.203 0.781 0.408
O19 0.214 0.012 0.299
O20 0.228 0.971 0.917
O21 0.251 0.946 0.199
O22 0.281 0.178 0.527
O23 0.326 0.512 0.022
O24 0.327 0.134 0.632
O25 0.337 0.543 0.742
O26 0.363 0.112 0.242
O27 0.372 0.528 0.126
O28 0.385 0.133 0.920
O29 0.385 0.471 0.427
O30 0.435 0.882 0.569
O31 0.458 0.674 0.469
O32 0.469 0.721 0.760
O33 0.477 0.134 0.424
O34 0.482 0.383 0.921
O35 0.489 0.818 0.264
O36 0.494 0.646 0.058
O37 0.501 0.845 0.966
O38 0.502 0.624 0.365
O39 0.504 0.866 0.861
O40 0.513 0.158 0.022
O41 0.527 0.354 0.242
O42 0.528 0.099 0.126
O43 0.538 0.329 0.632
O44 0.541 0.275 0.527
O45 0.542 0.117 0.743
O46 0.629 0.504 0.861
O47 0.633 0.866 0.365
O48 0.647 0.858 0.059
O49 0.655 0.497 0.966
O50 0.683 0.861 0.469
O51 0.688 0.426 0.568
O52 0.689 0.488 0.263
O53 0.722 0.806 0.760
O54 0.778 0.212 0.299
O55 0.787 0.012 0.408
O56 0.796 0.024 0.070
O57 0.801 0.005 0.802
O58 0.801 0.226 0.917
O59 0.804 0.249 0.200
O60 0.806 0.470 0.759
O61 0.813 0.124 0.590
O62 0.820 0.687 0.268
O63 0.837 0.962 0.697
O64 0.847 0.652 0.966
O65 0.860 0.491 0.059
O66 0.867 0.455 0.469
O67 0.867 0.627 0.861
O68 0.871 0.498 0.366
O69 0.885 0.679 0.572
O70 0.947 0.808 0.197
O71 0.959 0.203 0.696
O72 0.974 0.797 0.918
# * ΔH_f (0 K): -101.613 eV/f.u.

***

(2)
# LiGdSe2, relaxed, DFT PBE
data_LiGdSe2
_chemical_formula_sum 'Li4 Gd4 Se8'
_symmetry_space_group_name_H-M 'I 41/a m d'
_symmetry_Int_Tables_number 141
_cell_length_a 5.756
_cell_length_b 5.756
_cell_length_c 11.607
_cell_angle_alpha 90.00
_cell_angle_beta 90.00
_cell_angle_gamma 90.00
loop_
_symmetry_equiv_pos_as_xyz
'x,y,z'
'-x,-y,-z'
'-y+1/4,x+3/4,z+1/4'
'y+1/4,-x+3/4,-z+1/4'
'-x+1/2,-y,z+1/2'
'x+1/2,y,-z+1/2'
'y+1/4,-x+1/4,z+3/4'
'-y+1/4,x+1/4,-z+3/4'
'x,-y,-z'
'-x,y,z'
'-y+1/4,-x+1/4,-z+3/4'
'y+1/4,x+1/4,z+3/4'
'-x+1/2,y,-z+1/2'
'x+1/2,-y,z+1/2'
'y+1/4,x+3/4,-z+1/4'
'-y+1/4,-x+3/4,z+1/4'
'x+1/2,y+1/2,z+1/2'
'-x+1/2,-y+1/2,-z+1/2'
'-y+3/4,x+1/4,z+3/4'
'y+3/4,-x+1/4,-z+3/4'
'-x,-y+1/2,z'
'x,y+1/2,-z'
'y+3/4,-x+3/4,z+1/4'
'-y+3/4,x+3/4,-z+1/4'
'x+1/2,-y+1/2,-z+1/2'
'-x+1/2,y+1/2,z+1/2'
'-y+3/4,-x+3/4,-z+1/4'
'y+3/4,x+3/4,z+1/4'
'-x,y+1/2,-z'
'x,-y+1/2,z'
'y+3/4,x+1/4,-z+3/4'
'-y+3/4,-x+1/4,z+3/4'
loop_
_atom_site_label
_atom_site_fract_x
_atom_site_fract_y
_atom_site_fract_z
Li1 0.000 0.250 0.375
Gd1 0.000 0.250 0.875
Se1 0.000 0.250 0.124
# * ΔH_f (0 K): -7.667 eV/f.u.

***

(3)
# LiAg3, relaxed, DFT PBE
data_LiAg3
_chemical_formula_sum 'Li2 Ag6'
_symmetry_space_group_name_H-M 'I 4/m m m'
_symmetry_Int_Tables_number 139
_symmetry_space_group_name_Hall '-I 4 2'
_cell_length_a 4.099
_cell_length_b 4.099
_cell_length_c 8.271
_cell_angle_alpha 90.00
_cell_angle_beta 90.00
_cell_angle_gamma 90.00
loop_
_atom_site_label
_atom_site_fract_x
_atom_site_fract_y
_atom_site_fract_z
Li1 0.000 0.000 0.000
Ag1 0.000 0.000 0.500
Ag2 0.000 0.500 0.250
# * ΔH_f (0 K): -0.592 eV/f.u.

***

(4)
# SrIn2P2, relaxed, DFT PBE
data_SrIn2P2
_chemical_formula_sum 'Sr2 In4 P4'
_symmetry_space_group_name_H-M 'P 63/m m c'
_symmetry_Int_Tables_number 194
_symmetry_space_group_name_Hall '-P 6c 2c'
_cell_length_a 4.1527
_cell_length_b 4.1527
_cell_length_c 18.0385
_cell_angle_alpha 90.00
_cell_angle_beta 90.00
_cell_angle_gamma 120.00
loop_
_atom_site_label
_atom_site_fract_x
_atom_site_fract_y
_atom_site_fract_z
Sr1 0.0000 0.0000 0.0000
In1 0.3333 0.6667 0.1719
P1 0.3333 0.6667 0.6084
# * ΔH_f (0 K): -2.938 eV/f.u.

***

(5)
# Mg3Bi2P2O12, relaxed, DFT PBE
data_Mg3Bi2P2O12
_chemical_formula_sum 'Mg6 Bi4 P4 O24'
_symmetry_space_group_name_H-M 'P 1 m 1'
_symmetry_Int_Tables_number 6
_cell_length_a 7.869
_cell_length_b 5.358
_cell_length_c 12.213
_cell_angle_alpha 90.00
_cell_angle_beta 92.04
_cell_angle_gamma 90.00
loop_
_symmetry_equiv_pos_as_xyz
'x,y,z'
'x,-y,z'
loop_
_atom_site_label
_atom_site_fract_x
_atom_site_fract_y
_atom_site_fract_z
Mg1 0.000 0.000 0.000
Mg2 0.012 0.500 0.808
Mg3 0.386 0.000 0.990
Mg4 0.494 0.000 0.496
Mg5 0.517 0.500 0.303
Mg6 0.879 0.000 0.494
Bi1 0.180 0.000 0.301
Bi2 0.214 0.500 0.494
Bi3 0.696 0.500 0.995
Bi4 0.697 0.000 0.802
P1 0.180 0.000 0.700
P2 0.212 0.500 0.096
P3 0.687 0.500 0.596
P4 0.701 0.000 0.200
O1 0.012 0.000 0.632
O2 0.032 0.236 0.412
O3 0.064 0.500 0.176
O4 0.185 0.231 0.776
O5 0.198 0.258 0.024
O6 0.334 0.000 0.624
O7 0.371 0.251 0.393
O8 0.386 0.500 0.159
O9 0.515 0.500 0.653
O10 0.531 0.238 0.902
O11 0.555 0.000 0.113
O12 0.689 0.229 0.276
O13 0.693 0.257 0.524
O14 0.839 0.500 0.679
O15 0.871 0.250 0.901
O16 0.874 0.000 0.142
# * ΔH_f (0 K): -45.583 eV/f.u.
# * energy relative to the lowest polymorph listed for this composition: 0 kJ/mol of formula units

***

(6)
# CaP2H6O7, relaxed, DFT PBE
data_CaP2H6O7
_chemical_formula_sum 'Ca2 P4 H12 O14'
_symmetry_space_group_name_H-M 'P -1'
_symmetry_Int_Tables_number 2
_cell_length_a 6.837
_cell_length_b 7.129
_cell_length_c 8.162
_cell_angle_alpha 68.55
_cell_angle_beta 84.92
_cell_angle_gamma 84.22
loop_
_symmetry_equiv_pos_as_xyz
'x,y,z'
'-x,-y,-z'
loop_
_atom_site_label
_atom_site_fract_x
_atom_site_fract_y
_atom_site_fract_z
Ca1 0.141 0.132 0.264
P1 0.244 0.597 0.309
P2 0.313 0.956 0.717
H1 0.094 0.391 0.873
H2 0.197 0.864 0.011
H3 0.238 0.571 0.489
H4 0.324 0.359 0.891
H5 0.351 0.153 0.699
H6 0.480 0.381 0.264
O1 0.101 0.464 0.281
O2 0.167 0.875 0.886
O3 0.188 0.960 0.570
O4 0.198 0.315 0.954
O5 0.214 0.825 0.206
O6 0.465 0.528 0.263
O7 0.489 0.168 0.262
# * ΔH_f (0 K): -31.085 eV/f.u.

***

(7)
# WSeS, relaxed, DFT PBE
data_WSeS
_chemical_formula_sum 'W4 Se4 S4'
_symmetry_space_group_name_H-M 'P -3 m 1'
_symmetry_Int_Tables_number 164
_symmetry_space_group_name_Hall '-P 3 2"'
_cell_length_a 3.2541
_cell_length_b 3.2541
_cell_length_c 36.9023
_cell_angle_alpha 90.00
_cell_angle_beta 90.00
_cell_angle_gamma 120.00
loop_
_atom_site_label
_atom_site_fract_x
_atom_site_fract_y
_atom_site_fract_z
W1 0.3333 0.6667 0.0940
W2 0.3333 0.6667 0.7182
Se1 0.3333 0.6667 0.8598
Se2 0.3333 0.6667 0.9523
S1 0.3333 0.6667 0.2398
S2 0.3333 0.6667 0.3238
# * ΔH_f (0 K): -2.522 eV/f.u.

***

(8)
# PrEuCuS3, relaxed, DFT PBE
data_PrEuCuS3
_chemical_formula_sum 'Pr4 Eu4 Cu4 S12'
_symmetry_space_group_name_H-M 'P n m a'
_symmetry_Int_Tables_number 62
_cell_length_a 8.093
_cell_length_b 4.049
_cell_length_c 15.786
_cell_angle_alpha 90.00
_cell_angle_beta 90.00
_cell_angle_gamma 90.00
loop_
_symmetry_equiv_pos_as_xyz
'x,y,z'
'-x,-y,-z'
'-x+1/2,-y,z+1/2'
'x+1/2,y,-z+1/2'
'x+1/2,-y+1/2,-z+1/2'
'-x+1/2,y+1/2,z+1/2'
'-x,y+1/2,-z'
'x,-y+1/2,z'
loop_
_atom_site_label
_atom_site_fract_x
_atom_site_fract_y
_atom_site_fract_z
Pr1 0.249 0.250 0.041
Eu1 0.088 0.750 0.284
Cu1 0.117 0.750 0.867
S1 0.010 0.750 0.098
S2 0.121 0.250 0.432
S3 0.180 0.750 0.720
# * ΔH_f (0 K): -11.348 eV/f.u.

***

(9)
# LiCu2F6, relaxed, DFT PBE
data_LiCu2F6
_chemical_formula_sum 'Li4 Cu8 F24'
_symmetry_space_group_name_H-M 'P 1 21/c 1'
_symmetry_Int_Tables_number 14
_cell_length_a 5.621
_cell_length_b 4.587
_cell_length_c 15.500
_cell_angle_alpha 90.00
_cell_angle_beta 99.68
_cell_angle_gamma 90.00
loop_
_symmetry_equiv_pos_as_xyz
'x,y,z'
'-x,-y,-z'
'-x,y+1/2,-z+1/2'
'x,-y+1/2,z+1/2'
loop_
_atom_site_label
_atom_site_fract_x
_atom_site_fract_y
_atom_site_fract_z
Li1 0.121 0.007 0.424
Cu1 0.242 0.515 0.248
Cu2 0.383 0.005 0.082
F1 0.039 0.719 0.803
F2 0.134 0.245 0.531
F3 0.178 0.741 0.140
F4 0.334 0.209 0.857
F5 0.383 0.730 0.474
F6 0.457 0.238 0.196
# * ΔH_f (0 K): -18.754 eV/f.u.
# * energy relative to the lowest polymorph listed for this composition: 18 kJ/mol of formula units

***

(10)
# PrIn5Rh, relaxed, DFT PBE
data_PrIn5Rh
_chemical_formula_sum 'Pr1 In5 Rh1'
_symmetry_space_group_name_H-M 'P 4/m m m'
_symmetry_Int_Tables_number 123
_symmetry_space_group_name_Hall '-P 4 2'
_cell_length_a 4.717
_cell_length_b 4.717
_cell_length_c 7.652
_cell_angle_alpha 90.00
_cell_angle_beta 90.00
_cell_angle_gamma 90.00
loop_
_atom_site_label
_atom_site_fract_x
_atom_site_fract_y
_atom_site_fract_z
Pr1 0.000 0.000 0.000
In1 0.000 0.500 0.304
In2 0.500 0.500 0.000
Rh1 0.000 0.000 0.500
# * ΔH_f (0 K): -3.111 eV/f.u.

***

(11)
# Sc2CuIr, relaxed, DFT PBE
data_Sc2CuIr
_chemical_formula_sum 'Sc8 Cu4 Ir4'
_symmetry_space_group_name_H-M 'F m -3 m'
_symmetry_Int_Tables_number 225
_symmetry_space_group_name_Hall '-F 4 2 3'
_cell_length_a 6.471
_cell_length_b 6.471
_cell_length_c 6.471
_cell_angle_alpha 90.00
_cell_angle_beta 90.00
_cell_angle_gamma 90.00
loop_
_atom_site_label
_atom_site_fract_x
_atom_site_fract_y
_atom_site_fract_z
Sc1 0.250 0.250 0.250
Cu1 0.000 0.000 0.000
Ir1 0.000 0.000 0.500
# * ΔH_f (0 K): -2.813 eV/f.u.